# Sb2Ir

A relaxed Sb2Ir crystal (r²SCAN, the Materials Project database).

The structure belongs to space group P2_1/c (No. 14); the cell edges are 6.652, 6.592 and 6.747 Å and the angles 90.00°, 114.78° and 90.00°. The asymmetric unit holds Sb at (0.149, 0.134, 0.378), Sb at (0.345, 0.637, 0.678) and Ir at (0.271, 0.001, 0.790).

For the formation enthalpy at 0 K, the calculation gives -453 meV/atom. The value obtained for the total magnetization is 0.00 μB/atom.